No. 1
Ho2Ti2O7 | PBE | relaxed

## Properties
The calculation puts the formation energy at -364 kJ per mole of atoms.

a b c (Å): 7.175 7.175 7.175
angles (deg): 60.00 60.00 60.00
Atoms (fractional coordinates):
Ho 0.125 0.125 0.125
Ho 0.125 0.625 0.125
Ho 0.125 0.125 0.625
Ho 0.625 0.125 0.125
O 0.956 0.544 0.956
O 0.706 0.706 0.294
O 0.294 0.294 0.706
O 0.000 0.000 0.000
O 0.956 0.956 0.544
O 0.294 0.706 0.294
O 0.250 0.250 0.250
O 0.706 0.294 0.294
O 0.544 0.956 0.544
O 0.294 0.706 0.706
O 0.544 0.544 0.956
O 0.706 0.294 0.706
O 0.544 0.956 0.956
O 0.956 0.544 0.544
Ti 0.125 0.625 0.625
Ti 0.625 0.125 0.625
Ti 0.625 0.625 0.625
Ti 0.625 0.625 0.125


No. 2
Si5H8Cl4 | PBE | relaxed

## Properties
The calculation puts the spin magnetization at 0.0 Bohr magnetons per cell. The calculation puts the formation energy at -46 kJ per mole of atoms.

a b c (Å): 7.515 7.515 7.515
angles (deg): 103.22 103.22 122.85
Atoms (fractional coordinates):
Si 0.860 0.620 0.378
Si 0.518 0.140 0.760
Si 0.250 0.750 0.500
Si 0.242 0.482 0.622
Si 0.380 0.758 0.240
H 0.629 0.968 0.315
H 0.685 0.371 0.339
H 0.654 0.315 0.685
H 0.790 0.656 0.195
H 0.461 0.596 0.805
H 0.344 0.539 0.135
H 0.404 0.210 0.865
H 0.032 0.346 0.661
Cl 0.773 0.171 0.983
Cl 0.210 0.227 0.398
Cl 0.188 0.790 0.017
Cl 0.829 0.812 0.602


No. 3
Th2Si3Ir | PBE | relaxed

## Properties
The calculation puts the formation energy at -89 kJ per mole of atoms.

a b c (Å): 7.722 7.722 7.722
angles (deg): 149.20 148.15 44.90
Atoms (fractional coordinates):
Ir 0.165 0.665 0.500
Si 0.584 0.584 0.000
Si 0.417 0.417 0.000
Si 0.332 0.832 0.500
Th 0.752 0.252 0.500
Th 0.000 0.000 0.000


No. 4
Ba4Sm3Cl16 | PBE | relaxed

## Properties
The calculation puts the spin magnetization at 2.0 Bohr magnetons per cell. The calculation puts the formation energy at -269 kJ per mole of atoms.

a b c (Å): 11.376 11.376 11.376
angles (deg): 72.21 72.21 72.21
Atoms (fractional coordinates):
Ba 0.677 0.129 0.924
Ba 0.129 0.924 0.677
Ba 0.266 0.266 0.266
Ba 0.734 0.734 0.734
Ba 0.323 0.871 0.076
Ba 0.076 0.323 0.871
Ba 0.871 0.076 0.323
Ba 0.924 0.677 0.129
Cl 0.066 0.802 0.249
Cl 0.548 0.971 0.834
Cl 0.293 0.812 0.397
Cl 0.971 0.834 0.548
Cl 0.555 0.255 0.350
Cl 0.255 0.350 0.555
Cl 0.646 0.951 0.514
Cl 0.188 0.603 0.707
Cl 0.802 0.249 0.066
Cl 0.603 0.707 0.188
Cl 0.249 0.066 0.802
Cl 0.872 0.872 0.872
Cl 0.751 0.934 0.198
Cl 0.934 0.198 0.751
Cl 0.198 0.751 0.934
Cl 0.745 0.650 0.445
Cl 0.397 0.293 0.812
Cl 0.707 0.188 0.603
Cl 0.350 0.555 0.255
Cl 0.166 0.452 0.029
Cl 0.354 0.049 0.486
Cl 0.834 0.548 0.971
Cl 0.128 0.128 0.128
Cl 0.650 0.445 0.745
Cl 0.049 0.486 0.354
Cl 0.812 0.397 0.293
Cl 0.486 0.354 0.049
Cl 0.452 0.029 0.166
Cl 0.514 0.646 0.951
Cl 0.445 0.745 0.650
Cl 0.951 0.514 0.646
Cl 0.029 0.166 0.452
Sm 0.844 0.381 0.537
Sm 0.463 0.156 0.619
Sm 0.537 0.844 0.381
Sm 0.619 0.463 0.156
Sm 0.156 0.619 0.463
Sm 0.381 0.537 0.844


No. 5
Li3W2N5 | PBE | relaxed

## Properties
The calculation puts the spin magnetization at 0.0 Bohr magnetons per cell. The calculation puts the formation energy at -68 kJ per mole of atoms.

a b c (Å): 9.162 11.513 8.405
angles (deg): 90.00 62.70 128.93
Atoms (fractional coordinates):
Li 0.326 0.732 0.290
Li 0.863 0.094 0.271
Li 0.137 0.906 0.134
Li 0.674 0.268 0.616
Li 0.497 0.341 0.484
Li 0.000 0.000 0.615
Li 0.000 0.000 0.965
Li 0.503 0.659 0.981
Li 0.000 0.500 0.865
Li 0.000 0.500 0.215
Li 0.184 0.343 0.891
Li 0.816 0.657 0.075
N 0.360 0.095 0.177
N 0.640 0.905 0.538
N 0.265 0.600 0.899
N 0.667 0.465 0.883
N 0.797 0.486 0.484
N 0.064 0.165 0.749
N 0.170 0.765 0.522
N 0.830 0.235 0.692
N 0.204 0.825 0.890
N 0.203 0.514 0.281
N 0.264 0.299 0.335
N 0.824 0.811 0.221
N 0.333 0.535 0.550
N 0.936 0.835 0.813
N 0.796 0.175 0.094
N 0.447 0.122 0.518
N 0.735 0.400 0.164
N 0.553 0.878 0.965
N 0.176 0.189 0.045
N 0.736 0.701 0.599
W 0.375 0.267 0.104
W 0.799 0.112 0.880
W 0.625 0.733 0.479
W 0.159 0.392 0.462
W 0.576 0.188 0.241
W 0.424 0.812 0.817
W 0.201 0.888 0.679
W 0.841 0.608 0.621


No. 6
CeSe2 | PBE | relaxed

## Properties
The calculation puts the spin magnetization at 0.0 Bohr magnetons per cell. The calculation puts the formation energy at -135 kJ per mole of atoms.

a b c (Å): 12.481 14.900 26.537
angles (deg): 90.00 91.24 90.00
Atoms (fractional coordinates):
Ce 0.055 0.176 0.991
Ce 0.890 0.648 0.179
Ce 0.390 0.352 0.679
Ce 0.250 0.504 0.250
Ce 0.445 0.176 0.509
Ce 0.246 0.602 0.556
Ce 0.750 0.496 0.750
Ce 0.352 0.347 0.079
Ce 0.754 0.398 0.444
Ce 0.110 0.352 0.821
Ce 0.555 0.824 0.491
Ce 0.610 0.648 0.321
Ce 0.746 0.398 0.056
Ce 0.254 0.602 0.944
Ce 0.852 0.653 0.579
Ce 0.648 0.653 0.921
Ce 0.945 0.824 0.009
Ce 0.148 0.347 0.421
Se 0.937 0.308 0.424
Se 0.500 0.000 0.500
Se 0.586 0.775 0.394
Se 0.237 0.202 0.046
Se 0.000 0.000 0.000
Se 0.250 0.301 0.750
Se 0.101 0.721 0.971
Se 0.703 0.510 0.978
Se 0.414 0.225 0.606
Se 0.582 0.388 0.724
Se 0.082 0.612 0.224
Se 0.899 0.279 0.029
Se 0.437 0.692 0.924
Se 0.263 0.202 0.454
Se 0.563 0.308 0.076
Se 0.802 0.608 0.674
Se 0.684 0.495 0.364
Se 0.816 0.495 0.136
Se 0.302 0.392 0.174
Se 0.063 0.692 0.576
Se 0.763 0.798 0.954
Se 0.750 0.699 0.250
Se 0.797 0.510 0.522
Se 0.198 0.392 0.326
Se 0.698 0.608 0.826
Se 0.203 0.490 0.478
Se 0.737 0.798 0.546
Se 0.399 0.721 0.529
Se 0.418 0.612 0.276
Se 0.297 0.490 0.022
Se 0.086 0.225 0.894
Se 0.316 0.505 0.636
Se 0.601 0.279 0.471
Se 0.918 0.388 0.776
Se 0.184 0.505 0.864
Se 0.914 0.775 0.106


No. 7
Ga5Ni | PBE | relaxed

## Properties
The calculation puts the formation energy at -17 kJ per mole of atoms.

a b c (Å): 6.690 6.690 6.690
angles (deg): 123.24 123.24 84.47
Atoms (fractional coordinates):
Ga 0.506 0.707 0.500
Ga 0.000 0.000 0.000
Ga 0.707 0.207 0.200
Ga 0.500 0.500 0.000
Ga 0.793 0.994 0.500
Ga 0.494 0.293 0.500
Ga 0.006 0.506 0.800
Ga 0.207 0.006 0.500
Ga 0.293 0.793 0.800
Ga 0.994 0.494 0.200
Ni 0.750 0.750 0.000
Ni 0.250 0.250 0.000


No. 8
SnSbO4 | PBE | relaxed

## Properties
The calculation puts the spin magnetization at 0.0 Bohr magnetons per cell. The calculation puts the formation energy at -182 kJ per mole of atoms.

a b c (Å): 4.896 4.896 3.329
angles (deg): 90.00 90.00 90.15
Atoms (fractional coordinates):
O 0.309 0.691 0.000
O 0.192 0.192 0.500
O 0.808 0.808 0.500
O 0.691 0.309 0.000
Sn 0.500 0.500 0.500
Sb 0.000 0.000 0.000